# Sr4LiRu3O12

A geometry-optimized Sr4LiRu3O12 structure (PBE, the Materials Project database).

Results
As for the formation energy: -2.255 eV per atom. As for the MP2020-corrected energy: -7.05 eV/atom.

Cell lengths 5.552, 5.611, 7.974 Å; angles 89.89, 89.73, 89.99 degrees
Atoms (fractional coordinates):
Sr  0.011  0.003  0.267
Sr  0.487  0.493  0.732
Sr  0.513  0.507  0.268
Sr  0.989  0.997  0.733
Li  0.000  0.500  0.500
Ru  0.000  0.500  0.000
Ru  0.500  0.000  0.000
Ru  0.500  0.000  0.500
O  0.000  0.448  0.237
O  0.000  0.552  0.763
O  0.222  0.220  0.963
O  0.247  0.233  0.525
O  0.264  0.750  0.478
O  0.279  0.724  0.032
O  0.493  0.064  0.250
O  0.507  0.936  0.750
O  0.721  0.276  0.968
O  0.736  0.250  0.522
O  0.753  0.767  0.475
O  0.778  0.780  0.037


# LiSO4

A geometry-optimized LiSO4 structure (PBE, the Materials Project database).

Results
As for the formation energy: -1.836 eV per atom. As for the MP2020-corrected energy: -6.14 eV/atom.

Cell lengths 5.274, 5.274, 8.853 Å; angles 90.00, 90.00, 120.00 degrees
Atoms (fractional coordinates):
Li  0.333  0.667  0.000
Li  0.667  0.333  0.500
S  0.333  0.667  0.609
S  0.667  0.333  0.109
O  0.058  0.650  0.558
O  0.333  0.667  0.778
O  0.350  0.408  0.558
O  0.408  0.058  0.058
O  0.592  0.942  0.558
O  0.650  0.592  0.058
O  0.667  0.333  0.278
O  0.942  0.350  0.058


# Li2SO5

A geometry-optimized Li2SO5 structure (PBE, the Materials Project database).

Results
As for the formation energy: -1.739 eV per atom. As for the MP2020-corrected energy: -5.83 eV/atom.

Cell lengths 5.507, 4.937, 8.259 Å; angles 90.00, 106.76, 90.00 degrees
Atoms (fractional coordinates):
Li  0.049  0.000  0.395
Li  0.196  0.492  0.007
Li  0.804  0.992  0.993
Li  0.951  0.500  0.605
S  0.207  0.989  0.791
S  0.793  0.489  0.209
O  0.066  0.878  0.621
O  0.101  0.864  0.921
O  0.168  0.287  0.791
O  0.422  0.021  0.396
O  0.479  0.921  0.828
O  0.521  0.421  0.172
O  0.578  0.521  0.604
O  0.832  0.787  0.209
O  0.899  0.364  0.079
O  0.934  0.378  0.379


# LiSbS2O8

A geometry-optimized LiSbS2O8 structure (PBE, the Materials Project database).

Results
As for the formation energy: -1.912 eV per atom. As for the MP2020-corrected energy: -6.40 eV/atom.

Cell lengths 9.820, 9.705, 14.568 Å; angles 90.00, 90.21, 90.00 degrees
Atoms (fractional coordinates):
Li  0.000  0.018  0.000
Li  0.000  0.982  0.500
Li  0.263  0.205  0.739
Li  0.263  0.795  0.239
Li  0.339  0.298  0.242
Li  0.339  0.702  0.742
Li  0.823  0.309  0.999
Li  0.823  0.691  0.499
Sb  0.187  0.362  0.495
Sb  0.187  0.638  0.995
Sb  0.417  0.139  0.997
Sb  0.417  0.861  0.497
Sb  0.687  0.351  0.742
Sb  0.687  0.649  0.242
Sb  0.901  0.154  0.251
Sb  0.901  0.846  0.751
S  0.117  0.319  0.103
S  0.117  0.681  0.603
S  0.203  0.062  0.357
S  0.203  0.938  0.857
S  0.390  0.437  0.853
S  0.390  0.563  0.353
S  0.471  0.175  0.601
S  0.471  0.825  0.101
S  0.618  0.326  0.139
S  0.618  0.674  0.639
S  0.716  0.068  0.889
S  0.716  0.932  0.389
S  0.892  0.438  0.382
S  0.892  0.562  0.882
S  0.978  0.172  0.639
S  0.978  0.828  0.139
O  0.022  0.208  0.541
O  0.022  0.792  0.041
O  0.032  0.244  0.036
O  0.032  0.756  0.536
O  0.047  0.057  0.351
O  0.047  0.441  0.394
O  0.047  0.559  0.894
O  0.047  0.943  0.851
O  0.070  0.293  0.200
O  0.070  0.707  0.700
O  0.072  0.229  0.707
O  0.072  0.771  0.207
O  0.106  0.472  0.087
O  0.106  0.528  0.587
O  0.229  0.001  0.950
O  0.229  0.999  0.450
O  0.249  0.209  0.358
O  0.249  0.791  0.858
O  0.263  0.276  0.101
O  0.263  0.724  0.601
O  0.267  0.012  0.783
O  0.267  0.988  0.283
O  0.323  0.214  0.604
O  0.323  0.786  0.104
O  0.325  0.489  0.278
O  0.325  0.511  0.778
O  0.343  0.290  0.855
O  0.343  0.710  0.355
O  0.358  0.499  0.445
O  0.358  0.501  0.945
O  0.477  0.016  0.594
O  0.477  0.984  0.094
O  0.522  0.204  0.699
O  0.522  0.796  0.199
O  0.531  0.258  0.206
O  0.531  0.742  0.706
O  0.544  0.440  0.846
O  0.544  0.560  0.346
O  0.548  0.242  0.531
O  0.548  0.758  0.031
O  0.565  0.052  0.905
O  0.565  0.948  0.405
O  0.578  0.285  0.041
O  0.578  0.715  0.541
O  0.612  0.479  0.144
O  0.612  0.521  0.644
O  0.740  0.005  0.300
O  0.740  0.995  0.800
O  0.749  0.219  0.876
O  0.749  0.781  0.376
O  0.765  0.281  0.145
O  0.765  0.719  0.645
O  0.798  0.016  0.965
O  0.798  0.984  0.465
O  0.825  0.499  0.960
O  0.825  0.501  0.460
O  0.837  0.221  0.652
O  0.837  0.779  0.152
O  0.849  0.290  0.372
O  0.849  0.710  0.872
O  0.865  0.489  0.794
O  0.865  0.511  0.294
O  0.979  0.016  0.639
O  0.979  0.984  0.139


# LiSm2SO2

A geometry-optimized LiSm2SO2 structure (PBE, the Materials Project database).

Results
As for the formation energy: -2.644 eV per atom. As for the MP2020-corrected energy: -6.87 eV/atom.

Cell lengths 3.659, 3.659, 8.471 Å; angles 90.00, 90.00, 120.00 degrees
Atoms (fractional coordinates):
Li  0.000  0.000  0.000
Sm  0.333  0.667  0.714
Sm  0.667  0.333  0.286
S  0.000  0.000  0.500
O  0.333  0.667  0.150
O  0.667  0.333  0.850


# LiSm2SO2

A geometry-optimized LiSm2SO2 structure (PBE, the Materials Project database).

Results
As for the formation energy: -2.717 eV per atom. As for the MP2020-corrected energy: -6.95 eV/atom.

Cell lengths 4.007, 4.007, 7.339 Å; angles 90.00, 90.00, 120.00 degrees
Atoms (fractional coordinates):
Li  0.000  0.000  0.000
Sm  0.000  0.000  0.404
Sm  0.333  0.667  0.758
S  0.667  0.333  0.079
O  0.000  0.000  0.736
O  0.333  0.667  0.442


# LiSmS2O8

A geometry-optimized LiSmS2O8 structure (PBE, the Materials Project database).

Results
As for the formation energy: -2.400 eV per atom. As for the MP2020-corrected energy: -6.94 eV/atom.

Cell lengths 7.632, 7.632, 6.047 Å; angles 90.00, 90.00, 90.00 degrees
Atoms (fractional coordinates):
Li  0.000  0.500  0.250
Li  0.500  0.000  0.750
Sm  0.000  0.500  0.750
Sm  0.500  0.000  0.250
S  0.222  0.278  0.250
S  0.278  0.778  0.750
S  0.722  0.222  0.750
S  0.778  0.722  0.250
O  0.087  0.316  0.073
O  0.099  0.794  0.657
O  0.184  0.413  0.427
O  0.206  0.099  0.343
O  0.294  0.599  0.843
O  0.316  0.913  0.927
O  0.401  0.294  0.157
O  0.413  0.816  0.573
O  0.587  0.184  0.573
O  0.599  0.706  0.157
O  0.684  0.087  0.927
O  0.706  0.401  0.843
O  0.794  0.901  0.343
O  0.816  0.587  0.427
O  0.901  0.206  0.657
O  0.913  0.684  0.073


# Li2SnS2O8

A geometry-optimized Li2SnS2O8 structure (PBE, the Materials Project database).

Results
As for the formation energy: -2.041 eV per atom. As for the MP2020-corrected energy: -6.32 eV/atom.

Cell lengths 10.011, 10.043, 14.687 Å; angles 90.00, 90.00, 90.00 degrees
Atoms (fractional coordinates):
Li  0.016  0.236  0.128
Li  0.016  0.264  0.628
Li  0.213  0.550  0.634
Li  0.213  0.950  0.134
Li  0.287  0.050  0.634
Li  0.287  0.450  0.134
Li  0.484  0.736  0.128
Li  0.484  0.764  0.628
Li  0.516  0.236  0.372
Li  0.516  0.264  0.872
Li  0.713  0.550  0.866
Li  0.713  0.950  0.366
Li  0.787  0.050  0.866
Li  0.787  0.450  0.366
Li  0.984  0.736  0.372
Li  0.984  0.764  0.872
Sn  0.145  0.102  0.377
Sn  0.145  0.398  0.877
Sn  0.355  0.602  0.377
Sn  0.355  0.898  0.877
Sn  0.645  0.102  0.123
Sn  0.645  0.398  0.623
Sn  0.855  0.602  0.123
Sn  0.855  0.898  0.623
S  0.067  0.080  0.760
S  0.067  0.420  0.260
S  0.163  0.690  0.016
S  0.163  0.810  0.516
S  0.337  0.190  0.016
S  0.337  0.310  0.516
S  0.433  0.580  0.760
S  0.433  0.920  0.260
S  0.567  0.080  0.740
S  0.567  0.420  0.240
S  0.663  0.690  0.484
S  0.663  0.810  0.984
S  0.837  0.190  0.484
S  0.837  0.310  0.984
S  0.933  0.580  0.740
S  0.933  0.920  0.240
O  0.015  0.501  0.675
O  0.015  0.704  0.030
O  0.015  0.796  0.530
O  0.015  0.999  0.175
O  0.025  0.056  0.662
O  0.025  0.444  0.162
O  0.048  0.227  0.773
O  0.048  0.273  0.273
O  0.183  0.739  0.920
O  0.183  0.761  0.420
O  0.208  0.549  0.023
O  0.208  0.951  0.523
O  0.211  0.044  0.765
O  0.211  0.456  0.265
O  0.240  0.730  0.582
O  0.240  0.770  0.082
O  0.260  0.230  0.582
O  0.260  0.270  0.082
O  0.289  0.544  0.765
O  0.289  0.956  0.265
O  0.292  0.049  0.023
O  0.292  0.451  0.523
O  0.317  0.239  0.920
O  0.317  0.261  0.420
O  0.452  0.727  0.773
O  0.452  0.773  0.273
O  0.475  0.556  0.662
O  0.475  0.944  0.162
O  0.485  0.001  0.675
O  0.485  0.204  0.030
O  0.485  0.296  0.530
O  0.485  0.499  0.175
O  0.515  0.501  0.825
O  0.515  0.704  0.470
O  0.515  0.796  0.970
O  0.515  0.999  0.325
O  0.525  0.056  0.838
O  0.525  0.444  0.338
O  0.548  0.227  0.727
O  0.548  0.273  0.227
O  0.683  0.739  0.580
O  0.683  0.761  0.080
O  0.708  0.549  0.477
O  0.708  0.951  0.977
O  0.711  0.044  0.735
O  0.711  0.456  0.235
O  0.740  0.730  0.918
O  0.740  0.770  0.418
O  0.760  0.230  0.918
O  0.760  0.270  0.418
O  0.789  0.544  0.735
O  0.789  0.956  0.235
O  0.792  0.049  0.477
O  0.792  0.451  0.977
O  0.817  0.239  0.580
O  0.817  0.261  0.080
O  0.952  0.727  0.727
O  0.952  0.773  0.227
O  0.975  0.556  0.838
O  0.975  0.944  0.338
O  0.985  0.001  0.825
O  0.985  0.204  0.470
O  0.985  0.296  0.970
O  0.985  0.499  0.325


# LiSnS2O8

A geometry-optimized LiSnS2O8 structure (PBE, the Materials Project database).

Results
As for the formation energy: -1.960 eV per atom. As for the MP2020-corrected energy: -6.44 eV/atom.

Cell lengths 9.845, 9.470, 14.824 Å; angles 90.00, 90.63, 90.00 degrees
Atoms (fractional coordinates):
Li  0.000  0.015  0.000
Li  0.000  0.985  0.500
Li  0.252  0.213  0.740
Li  0.252  0.787  0.240
Li  0.344  0.289  0.241
Li  0.344  0.711  0.741
Li  0.820  0.308  0.999
Li  0.820  0.692  0.499
Sn  0.203  0.360  0.496
Sn  0.203  0.640  0.996
Sn  0.410  0.143  0.000
Sn  0.410  0.857  0.500
Sn  0.690  0.350  0.749
Sn  0.690  0.650  0.249
Sn  0.901  0.153  0.253
Sn  0.901  0.847  0.753
S  0.104  0.311  0.107
S  0.104  0.689  0.607
S  0.195  0.064  0.355
S  0.195  0.936  0.855
S  0.399  0.435  0.850
S  0.399  0.565  0.350
S  0.480  0.180  0.607
S  0.480  0.820  0.107
S  0.638  0.330  0.146
S  0.638  0.670  0.646
S  0.718  0.063  0.881
S  0.718  0.937  0.381
S  0.891  0.445  0.373
S  0.891  0.555  0.873
S  0.956  0.168  0.650
S  0.956  0.832  0.150
O  0.024  0.233  0.038
O  0.024  0.767  0.538
O  0.038  0.069  0.347
O  0.038  0.931  0.847
O  0.040  0.447  0.381
O  0.040  0.553  0.881
O  0.053  0.220  0.716
O  0.053  0.275  0.202
O  0.053  0.725  0.702
O  0.053  0.780  0.216
O  0.090  0.465  0.096
O  0.090  0.535  0.596
O  0.211  0.001  0.447
O  0.211  0.999  0.947
O  0.249  0.267  0.112
O  0.249  0.733  0.612
O  0.250  0.209  0.354
O  0.250  0.791  0.854
O  0.253  0.019  0.783
O  0.253  0.981  0.283
O  0.334  0.225  0.618
O  0.334  0.775  0.118
O  0.340  0.484  0.276
O  0.340  0.516  0.776
O  0.347  0.288  0.849
O  0.347  0.712  0.349
O  0.374  0.499  0.940
O  0.374  0.501  0.440
O  0.486  0.022  0.604
O  0.486  0.978  0.104
O  0.540  0.272  0.208
O  0.540  0.728  0.708
O  0.544  0.218  0.701
O  0.544  0.782  0.201
O  0.547  0.249  0.533
O  0.547  0.751  0.033
O  0.555  0.433  0.843
O  0.555  0.567  0.343
O  0.573  0.047  0.896
O  0.573  0.953  0.396
O  0.611  0.302  0.050
O  0.611  0.698  0.550
O  0.650  0.489  0.154
O  0.650  0.511  0.654
O  0.749  0.022  0.297
O  0.749  0.978  0.797
O  0.751  0.218  0.858
O  0.751  0.782  0.358
O  0.780  0.268  0.162
O  0.780  0.732  0.662
O  0.805  0.030  0.958
O  0.805  0.970  0.458
O  0.818  0.233  0.662
O  0.818  0.767  0.162
O  0.821  0.498  0.451
O  0.821  0.502  0.951
O  0.843  0.294  0.355
O  0.843  0.706  0.855
O  0.854  0.471  0.788
O  0.854  0.529  0.288
O  0.938  0.005  0.657
O  0.938  0.995  0.157
O  0.996  0.186  0.555
O  0.996  0.814  0.055